LaAs2: optimized geometry, PBE-GGA.

Summary:
Calculated formation energy (kJ/mol of atoms): -102.5
Theoretical density (g cm⁻³): 6.3

Lattice parameters (Å, degrees): 12.956 14.585 9.143 90.00 134.84 90.00
Space group Cc (No. 9)
Asymmetric unit:
1 La 0.000 0.041 0.000 x4
2 La 0.108 0.302 0.292 x4
3 La 0.315 0.280 0.896 x4
4 La 0.395 0.042 0.194 x4
5 As 0.006 0.251 0.866 x4
6 As 0.017 0.381 0.508 x4
7 As 0.104 0.127 0.802 x4
8 As 0.181 0.126 0.537 x4
9 As 0.188 0.477 0.826 x4
10 As 0.208 0.373 0.076 x4
11 As 0.297 0.124 0.401 x4
12 As 0.416 0.372 0.710 x4



LaAs: optimized geometry, PBE-GGA.

Summary:
Calculated formation energy (kJ/mol of atoms): -115.2
Theoretical density (g cm⁻³): 6.9

Lattice parameters (Å, degrees): 3.901 3.901 3.389 90.00 90.00 90.00
Space group P4/mmm (No. 123)
Asymmetric unit:
1 La 0.000 0.000 0.000 x1
2 As 0.500 0.500 0.500 x1



LaNi2As2: optimized geometry, PBE-GGA.

Summary:
Calculated formation energy (kJ/mol of atoms): -80.9
Theoretical density (g cm⁻³): 7.8

Lattice parameters (Å, degrees): 4.149 4.149 10.110 90.00 90.00 90.00
Space group I4/mmm (No. 139)
Asymmetric unit:
1 La 0.000 0.000 0.000 x2
2 Ni 0.000 0.500 0.250 x4
3 As 0.000 0.000 0.366 x4



LaNi5As3: optimized geometry, PBE-GGA.

Summary:
Calculated formation energy (kJ/mol of atoms): -56.9
Theoretical density (g cm⁻³): 8.1

Lattice parameters (Å, degrees): 11.240 3.916 24.365 90.00 90.00 90.00
Space group Pnma (No. 62)
Asymmetric unit:
1 La 0.087 0.250 0.104 x4
2 La 0.088 0.750 0.338 x4
3 Ni 0.020 0.750 0.770 x4
4 Ni 0.021 0.250 0.534 x4
5 Ni 0.090 0.750 0.004 x4
6 Ni 0.103 0.250 0.850 x4
7 Ni 0.117 0.750 0.589 x4
8 Ni 0.162 0.250 0.751 x4
9 Ni 0.195 0.250 0.233 x4
10 Ni 0.208 0.750 0.489 x4
11 Ni 0.213 0.750 0.913 x4
12 Ni 0.221 0.250 0.653 x4
13 As 0.088 0.250 0.440 x4
14 As 0.088 0.750 0.203 x4
15 As 0.100 0.250 0.947 x4
16 As 0.123 0.750 0.686 x4
17 As 0.201 0.750 0.817 x4
18 As 0.227 0.250 0.556 x4



LaNi2As2: optimized geometry, PBE-GGA.

Summary:
Calculated formation energy (kJ/mol of atoms): -84.2
Theoretical density (g cm⁻³): 7.7

Lattice parameters (Å, degrees): 4.271 4.271 9.543 90.00 90.00 90.00
Space group P4/nmm (No. 129, origin choice 2)
Asymmetric unit:
1 La 0.250 0.250 0.248 x2
2 Ni 0.250 0.250 0.616 x2
3 Ni 0.250 0.750 0.000 x2
4 As 0.250 0.250 0.871 x2
5 As 0.250 0.750 0.500 x2



La4Zr8Ni15As16: optimized geometry, PBE-GGA.

Summary:
Calculated formation energy (kJ/mol of atoms): -88.5
Theoretical density (g cm⁻³): 7.7

Lattice parameters (Å, degrees): 9.419 3.969 19.708 90.00 97.68 90.00
Space group Pm (No. 6)
Asymmetric unit:
1 La 0.000 0.000 0.000 x1
2 La 0.001 0.000 0.503 x1
3 La 0.259 0.500 0.751 x1
4 La 0.272 0.500 0.255 x1
5 Zr 0.494 0.500 0.105 x1
6 Zr 0.496 0.500 0.605 x1
7 Zr 0.506 0.500 0.929 x1
8 Zr 0.508 0.500 0.431 x1
9 Zr 0.763 0.000 0.825 x1
10 Zr 0.764 0.000 0.325 x1
11 Zr 0.778 0.000 0.151 x1
12 Zr 0.789 0.000 0.652 x1
13 Ni 0.023 0.500 0.869 x1
14 Ni 0.025 0.500 0.368 x1
15 Ni 0.070 0.000 0.174 x1
16 Ni 0.201 0.500 0.082 x1
17 Ni 0.203 0.500 0.582 x1
18 Ni 0.247 0.000 0.387 x1
19 Ni 0.248 0.000 0.888 x1
20 Ni 0.345 0.000 0.516 x1
21 Ni 0.346 0.000 0.016 x1
22 Ni 0.521 0.000 0.218 x1
23 Ni 0.523 0.000 0.717 x1
24 Ni 0.751 0.500 0.037 x1
25 Ni 0.751 0.500 0.537 x1
26 Ni 0.924 0.500 0.742 x1
27 Ni 0.926 0.500 0.240 x1
28 As 0.042 0.000 0.796 x1
29 As 0.043 0.000 0.296 x1
30 As 0.228 0.500 0.460 x1
31 As 0.228 0.500 0.960 x1
32 As 0.302 0.000 0.637 x1
33 As 0.304 0.000 0.137 x1
34 As 0.464 0.000 0.833 x1
35 As 0.469 0.000 0.336 x1
36 As 0.606 0.000 0.027 x1
37 As 0.608 0.000 0.529 x1
38 As 0.665 0.500 0.229 x1
39 As 0.666 0.500 0.728 x1
40 As 0.802 0.500 0.920 x1
41 As 0.805 0.500 0.421 x1
42 As 0.968 0.500 0.119 x1
43 As 0.971 0.500 0.621 x1



LaAsO4: optimized geometry, PBE-GGA.

Summary:
Calculated formation energy (kJ/mol of atoms): -272.7
Total energy after the MP2020 corrections (eV/atom): -7.724
Theoretical density (g cm⁻³): 5.6

Lattice parameters (Å, degrees): 5.242 5.242 11.998 90.00 90.00 90.00
Space group I4_1/a (No. 88, origin choice 2)
Asymmetric unit:
1 La 0.000 0.250 0.125 x4
2 As 0.000 0.250 0.625 x4
3 O 0.130 0.002 0.702 x16



LaAsO4: optimized geometry, PBE-GGA.

Summary:
Calculated formation energy (kJ/mol of atoms): -273.7
Total energy after the MP2020 corrections (eV/atom): -7.734
Theoretical density (g cm⁻³): 5.4

Lattice parameters (Å, degrees): 6.852 7.302 8.507 90.00 126.08 90.00
Space group P2_1/c (No. 14)
Asymmetric unit:
1 La 0.188 0.153 0.284 x4
2 As 0.308 0.662 0.196 x4
3 O 0.105 0.659 0.608 x4
4 O 0.173 0.003 0.746 x4
5 O 0.347 0.605 0.019 x4
6 O 0.398 0.213 0.118 x4



LaAsO4: optimized geometry, PBE-GGA.

Summary:
Calculated formation energy (kJ/mol of atoms): -274.2
Total energy after the MP2020 corrections (eV/atom): -7.740
Theoretical density (g cm⁻³): 5.0

Lattice parameters (Å, degrees): 7.467 7.467 6.630 90.00 90.00 90.00
Space group I4_1/amd (No. 141, origin choice 2)
Asymmetric unit:
1 La 0.000 0.250 0.375 x4
2 As 0.000 0.250 0.875 x4
3 O 0.000 0.072 0.709 x16



LaAsO3: optimized geometry, PBE-GGA.

Summary:
Calculated formation energy (kJ/mol of atoms): -276.5
Total energy after the MP2020 corrections (eV/atom): -7.754
Theoretical density (g cm⁻³): 6.0

Lattice parameters (Å, degrees): 4.455 5.378 6.284 90.00 105.69 90.00
Space group P2_1/m (No. 11)
Asymmetric unit:
1 La 0.163 0.250 0.300 x2
2 As 0.422 0.250 0.855 x2
3 O 0.167 0.750 0.118 x2
4 O 0.306 0.001 0.657 x4



LaAsRuO: optimized geometry, PBE-GGA.

Summary:
Calculated formation energy (kJ/mol of atoms): -34.6
Total energy after the MP2020 corrections (eV/atom): -6.313
Theoretical density (g cm⁻³): 6.9

Lattice parameters (Å, degrees): 4.188 4.188 9.116 90.00 90.00 90.00
Space group P4/nmm (No. 129, origin choice 2)
Asymmetric unit:
1 La 0.250 0.250 0.210 x2
2 As 0.250 0.250 0.555 x2
3 Ru 0.250 0.750 0.000 x2
4 O 0.250 0.750 0.500 x2



SrLaTlAs2O8: optimized geometry, PBE-GGA.

Summary:
Calculated formation energy (kJ/mol of atoms): -242.6
Total energy after the MP2020 corrections (eV/atom): -6.968
Theoretical density (g cm⁻³): 5.3

Lattice parameters (Å, degrees): 7.4854 7.4854 13.8052 90.00 90.00 120.00
Space group P3_2 (No. 145)
Asymmetric unit:
1 Sr 0.0003 0.5037 0.0000 x3
2 La 0.5004 0.0006 0.8362 x3
3 Tl 0.0027 0.0131 0.0591 x3
4 As 0.0000 0.4888 0.2550 x3
5 As 0.9997 0.4897 0.7486 x3
6 O 0.1241 0.4166 0.6656 x3
7 O 0.1358 0.4223 0.1753 x3
8 O 0.1404 0.6970 0.3300 x3
9 O 0.1524 0.6983 0.8212 x3
10 O 0.4160 0.1239 0.6719 x3
11 O 0.4190 0.1340 0.1604 x3
12 O 0.4429 0.3016 0.3407 x3
13 O 0.4592 0.3039 0.8488 x3



LaAs12Os4: optimized geometry, PBE-GGA.

Summary:
Calculated formation energy (kJ/mol of atoms): -35.8
Theoretical density (g cm⁻³): 9.2

Lattice parameters (Å, degrees): 8.656 8.656 8.656 90.00 90.00 90.00
Space group Im-3 (No. 204)
Asymmetric unit:
1 La 0.000 0.000 0.000 x2
2 As 0.000 0.347 0.149 x24
3 Os 0.250 0.250 0.250 x8



LaAs2Pd2: optimized geometry, PBE-GGA.

Summary:
Calculated formation energy (kJ/mol of atoms): -88.4
Theoretical density (g cm⁻³): 8.3

Lattice parameters (Å, degrees): 4.367 4.367 10.482 90.00 90.00 90.00
Space group I4/mmm (No. 139)
Asymmetric unit:
1 La 0.000 0.000 0.000 x2
2 As 0.000 0.000 0.379 x4
3 Pd 0.000 0.500 0.250 x4



LaAsPd: optimized geometry, PBE-GGA.

Summary:
Calculated formation energy (kJ/mol of atoms): -121.9
Theoretical density (g cm⁻³): 7.8

Lattice parameters (Å, degrees): 4.4332 4.4332 7.9942 90.00 90.00 120.00
Space group P6_3/mmc (No. 194)
Asymmetric unit:
1 La 0.0000 0.0000 0.0000 x2
2 As 0.3333 0.6667 0.2500 x2
3 Pd 0.3333 0.6667 0.7500 x2



LaAsRh: optimized geometry, PBE-GGA.

Summary:
Calculated formation energy (kJ/mol of atoms): -111.6
Theoretical density (g cm⁻³): 7.8

Lattice parameters (Å, degrees): 4.217 4.217 15.101 90.00 90.00 90.00
Space group I4_1md (No. 109)
Asymmetric unit:
1 La 0.000 0.000 0.000 x4
2 As 0.000 0.000 0.580 x4
3 Rh 0.000 0.000 0.415 x4



Number 1: uncorrected energy -17.44 eV per formula unit. Number 2: uncorrected energy -11.98 eV per formula unit. Number 3: uncorrected energy -30.01 eV per formula unit. Number 4: uncorrected energy -53.12 eV per formula unit. Number 5: uncorrected energy -30.18 eV per formula unit. Number 6: uncorrected energy -288.80 eV per formula unit. Number 7: uncorrected energy -43.60 eV per formula unit. Number 8: uncorrected energy -43.66 eV per formula unit. Number 9: uncorrected energy -43.69 eV per formula unit. Number 10: uncorrected energy -36.71 eV per formula unit. Number 11: uncorrected energy -24.57 eV per formula unit. Number 12: uncorrected energy -85.08 eV per formula unit. Number 13: uncorrected energy -112.07 eV per formula unit. Number 14: uncorrected energy -29.20 eV per formula unit. Number 15: uncorrected energy -18.57 eV per formula unit. Number 16: uncorrected energy -20.43 eV per formula unit.